{
  "formula": "NaTaTiSiP2O12",
  "functional": "PBE",
  "state": "relaxed",
  "total_energy_ha_per_atom": -0.29367,
  "formation_enthalpy_0k_kj_per_mol_atoms": -297,
  "volume_a3_per_atom": 13.85,
  "lattice_angstrom": [[7.5501, -4.3673, 0.0000], [7.5501, 4.3673, 0.0000], [-0.1103, 0.0000, 22.6859]],
  "species": ["Na", "Na", "Na", "Na", "Na", "Na", "Ta", "Ta", "Ta", "Ta", "Ta", "Ta", "Ti", "Ti", "Ti", "Ti", "Ti", "Ti", "Si", "Si", "Si", "Si", "Si", "Si", "P", "P", "P", "P", "P", "P", "P", "P", "P", "P", "P", "P", "O", "O", "O", "O", "O", "O", "O", "O", "O", "O", "O", "O", "O", "O", "O", "O", "O", "O", "O", "O", "O", "O", "O", "O", "O", "O", "O", "O", "O", "O", "O", "O", "O", "O", "O", "O", "O", "O", "O", "O", "O", "O", "O", "O", "O", "O", "O", "O", "O", "O", "O", "O", "O", "O", "O", "O", "O", "O", "O", "O", "O", "O", "O", "O", "O", "O", "O", "O", "O", "O", "O", "O"],
  "fractional_positions": [[0.9997, 0.0003, 0.0000], [0.0003, 0.9997, 0.5000], [0.3324, 0.3338, 0.1667], [0.3338, 0.3324, 0.6667], [0.6665, 0.6658, 0.3335], [0.6658, 0.6665, 0.8335], [0.0016, 0.9968, 0.1479], [0.3272, 0.3359, 0.3146], [0.3359, 0.3272, 0.8146], [0.6646, 0.6649, 0.4813], [0.6649, 0.6646, 0.9813], [0.9968, 0.0016, 0.6479], [0.3245, 0.3286, 0.0228], [0.3286, 0.3245, 0.5228], [0.6603, 0.6782, 0.6895], [0.6782, 0.6603, 0.1895], [0.9978, 0.9985, 0.3560], [0.9985, 0.9978, 0.8560], [0.0441, 0.3273, 0.4196], [0.3273, 0.0441, 0.9196], [0.3780, 0.9567, 0.5860], [0.7142, 0.9951, 0.7533], [0.9567, 0.3780, 0.0860], [0.9951, 0.7142, 0.2533], [0.0472, 0.6212, 0.9199], [0.2872, 0.7141, 0.7532], [0.2897, 0.9933, 0.2535], [0.3284, 0.6205, 0.4205], [0.3820, 0.6611, 0.0869], [0.6205, 0.3284, 0.9205], [0.6212, 0.0472, 0.4199], [0.6611, 0.3820, 0.5869], [0.6620, 0.9550, 0.0867], [0.7141, 0.2872, 0.2532], [0.9550, 0.6620, 0.5867], [0.9933, 0.2897, 0.7535], [0.0233, 0.1552, 0.4106], [0.0246, 0.8057, 0.9123], [0.0300, 0.8023, 0.1952], [0.0316, 0.1700, 0.6977], [0.1301, 0.5051, 0.8641], [0.1372, 0.3629, 0.3621], [0.1403, 0.5027, 0.5785], [0.1508, 0.3592, 0.0785], [0.1552, 0.0233, 0.9106], [0.1610, 0.5348, 0.9748], [0.1622, 0.3086, 0.7604], [0.1682, 0.8050, 0.4116], [0.1688, 0.3019, 0.4770], [0.1700, 0.0316, 0.1977], [0.1702, 0.7991, 0.6976], [0.1734, 0.5178, 0.2601], [0.1834, 0.9757, 0.5941], [0.1953, 0.8309, 0.0933], [0.1992, 0.9713, 0.3079], [0.2022, 0.8280, 0.8080], [0.3019, 0.1688, 0.9770], [0.3026, 0.5293, 0.7603], [0.3040, 0.5336, 0.4748], [0.3086, 0.1622, 0.2604], [0.3592, 0.1508, 0.5785], [0.3594, 0.5004, 0.0779], [0.3629, 0.1372, 0.8621], [0.3647, 0.5029, 0.3641], [0.4638, 0.6975, 0.0309], [0.4691, 0.8317, 0.5284], [0.4714, 0.8326, 0.2450], [0.4729, 0.6888, 0.7450], [0.4939, 0.6385, 0.1416], [0.4976, 0.6387, 0.4265], [0.5004, 0.3594, 0.5779], [0.5021, 0.8605, 0.6438], [0.5027, 0.1403, 0.0785], [0.5029, 0.3647, 0.8641], [0.5051, 0.1301, 0.3641], [0.5052, 0.8511, 0.9273], [0.5178, 0.1734, 0.7601], [0.5293, 0.3026, 0.2603], [0.5336, 0.3040, 0.9748], [0.5348, 0.1610, 0.4748], [0.6345, 0.8688, 0.1414], [0.6385, 0.4939, 0.6416], [0.6387, 0.4976, 0.9265], [0.6390, 0.8609, 0.4271], [0.6888, 0.4729, 0.2450], [0.6917, 0.8221, 0.7451], [0.6957, 0.8374, 0.0311], [0.6975, 0.4638, 0.5309], [0.7991, 0.1702, 0.1976], [0.8023, 0.0300, 0.6952], [0.8050, 0.1682, 0.9116], [0.8057, 0.0246, 0.4123], [0.8221, 0.6917, 0.2451], [0.8280, 0.2022, 0.3080], [0.8309, 0.1953, 0.5933], [0.8314, 0.9716, 0.0936], [0.8317, 0.4691, 0.0284], [0.8326, 0.4714, 0.7450], [0.8358, 0.9694, 0.8108], [0.8374, 0.6957, 0.5311], [0.8511, 0.5052, 0.4273], [0.8605, 0.5021, 0.1438], [0.8609, 0.6390, 0.9271], [0.8688, 0.6345, 0.6414], [0.9694, 0.8358, 0.3108], [0.9713, 0.1992, 0.8079], [0.9716, 0.8314, 0.5936], [0.9757, 0.1834, 0.0941]]
}